Density functional theory data (r²SCAN) for a geometry-optimized SmAu3 structure.

As for the electronic total energy: -46.134 eV per atom. As for the crystal system: orthorhombic. The formation energy comes out at -0.76 eV/atom. As for the total magnetization: 0.00 μB/f.u.

The structure belongs to space group Pmmn (No. 59, origin choice 2); the cell edges are 5.0947, 6.4141 and 5.0755 Å and the angles 90.00°, 90.00° and 90.00°. The asymmetric unit holds Sm at (0.2500, 0.2500, 0.1573), Au at (0.2500, 0.5147, 0.6605) and Au at (0.2500, 0.7500, 0.1719).

Density functional theory data (r²SCAN) for a geometry-optimized NdP12Ru4 structure.

As for the electronic total energy: -14.794 eV per atom. As for the crystal system: cubic. The formation energy comes out at -0.73 eV/atom. As for the total magnetization: 0.00 μB/f.u.

The structure belongs to space group Im-3 (No. 204); the cell edges are 8.0659, 8.0659 and 8.0659 Å and the angles 90.00°, 90.00° and 90.00°. The asymmetric unit holds Nd at (0.0000, 0.0000, 0.0000), P at (0.0000, 0.3582, 0.1432) and Ru at (0.2500, 0.2500, 0.2500).

Density functional theory data (r²SCAN) for a geometry-optimized Ti2NiS4 structure.

As for the electronic total energy: -11.310 eV per atom. As for the crystal system: monoclinic. The formation energy comes out at -1.31 eV/atom. As for the total magnetization: 0.16 μB/f.u.

The structure belongs to space group C2/m (No. 12); the cell edges are 12.7523, 3.4107 and 5.8986 Å and the angles 90.00°, 117.44° and 90.00°. The asymmetric unit holds Ti at (0.2430, 0.0000, 0.2363), Ni at (0.0000, 0.5000, 0.5000), S at (0.1201, 0.5000, 0.9477) and S at (0.1241, 0.0000, 0.4619).

| no. | mass density (g/cm³) |
| --- | --- |
| 1 | 14.8 |
| 2 | 5.8 |
| 3 | 4.1 |